# 1
The following is a GGA-PBE calculation of a geometry-optimized PaInCu2 structure, from the Materials Project database.

Structure (extended XYZ):
```
4
Lattice="0.000 3.349 3.349 3.349 0.000 3.349 3.349 3.349 0.000" Properties=species:S:1:pos:R:3 pbc="T T T"
Cu 5.024 5.024 5.024
Cu 1.675 1.675 1.675
In 3.349 3.349 3.349
Pa 0.000 0.000 0.000
```

Calculated values
DFT total energy	-20.8	eV/cell
space group	No. 225

***

# 2
The following is a GGA-PBE calculation of a geometry-optimized NdMg16Al12 structure, from the Materials Project database.

Structure (extended XYZ):
```
29
Lattice="-7.494 -0.071 -9.875 -3.049 -6.444 10.142 -4.239 6.989 3.167" Properties=species:S:1:pos:R:3 pbc="T T T"
Al -7.371 0.335 9.069
Al -5.196 2.004 3.906
Al -6.012 3.174 0.232
Al -2.733 -2.804 7.016
Al -5.552 1.236 -5.675
Al -10.199 4.388 -3.663
Al -7.350 3.274 2.675
Al -12.279 2.824 1.558
Al -7.658 2.478 -6.879
Al -2.736 -0.012 0.604
Al -4.042 -2.706 9.405
Al -11.481 1.679 5.152
Mg -4.188 -3.915 3.069
Mg -5.273 -0.560 0.993
Mg -10.259 0.549 2.453
Mg -6.832 6.909 -0.227
Mg -2.813 4.540 2.070
Mg -5.544 -2.230 5.149
Mg -7.692 -0.380 5.410
Mg -5.309 4.727 6.628
Mg -4.263 6.937 3.155
Mg -12.248 0.837 -1.540
Mg -5.495 -2.042 -2.815
Mg -7.052 -3.701 8.299
Mg -7.331 0.331 -2.894
Mg -10.501 -1.668 6.327
Mg -9.168 1.736 -1.234
Mg -10.106 0.677 -5.451
Nd -8.202 -1.501 1.344
```

Calculated values
DFT total energy	-49.6	eV/cell
excess energy over the best structure of this formula in the dataset	27.69	eV/f.u.
space group	No. 8

***

# 3
The following is a GGA-PBE calculation of a geometry-optimized Ti3Ge structure, from the Materials Project database.

Structure (extended XYZ):
```
4
Lattice="0.000 3.177 3.177 3.177 0.000 3.177 3.177 3.177 0.000" Properties=species:S:1:pos:R:3 pbc="T T T"
Ti 1.588 1.588 1.588
Ti 4.765 4.765 4.765
Ti 0.000 0.000 0.000
Ge 3.177 3.177 3.177
```

Calculated values
DFT total energy	-29.4	eV/cell
space group	No. 225

***

# 4
The following is a GGA-PBE calculation of a geometry-optimized NdAs2Pd3 structure, from the Materials Project database.

Structure (extended XYZ):
```
18
Lattice="-0.229 3.360 2.433 8.238 -2.554 0.754 -0.619 5.879 -8.176" Properties=species:S:1:pos:R:3 pbc="T T T"
Pd 2.216 7.051 -5.981
Pd 4.040 4.774 -2.665
Pd 5.643 4.048 -5.059
Pd 0.492 1.873 -2.540
Pd 1.747 2.637 0.071
Pd 3.350 1.911 -2.324
Pd -0.424 4.620 -2.871
Pd 6.898 4.812 -2.449
Pd 5.174 -0.366 0.992
Nd 5.309 2.834 0.133
Nd 2.081 3.851 -5.122
Nd 0.000 0.000 0.000
As 5.576 2.574 -3.030
As 1.814 4.111 -1.958
As 3.155 0.426 -0.292
As 7.355 0.452 0.067
As 4.236 6.259 -4.697
As 0.036 6.233 -5.056
```

Calculated values
DFT total energy	-103.8	eV/cell
space group	No. 12

***

# 5
The following is a GGA-PBE calculation of a geometry-optimized BaAs2Pd2 structure, from the Materials Project database.

Structure (extended XYZ):
```
5
Lattice="4.531 0.000 0.000 0.000 4.531 0.000 -2.266 -2.266 5.348" Properties=species:S:1:pos:R:3 pbc="T T T"
Pd 2.266 0.000 2.674
Pd 0.000 2.266 2.674
As 0.000 0.000 3.937
As 2.266 2.266 1.411
Ba 0.000 0.000 0.000
```

Calculated values
DFT total energy	-25.4	eV/cell
space group	No. 139

***

# 6
The following is a GGA-PBE calculation of a geometry-optimized Zn3RhF6 structure, from the Materials Project database.

Structure (extended XYZ):
```
10
Lattice="-3.069 -5.603 0.039 -2.268 5.129 -0.720 -1.851 0.930 -8.132" Properties=species:S:1:pos:R:3 pbc="T T T"
F -4.639 2.561 -8.063
F -2.015 3.578 -1.953
F -5.173 -3.122 -6.861
F -1.778 0.433 -2.514
F -2.549 -2.104 -0.751
F -5.410 0.023 -6.300
Zn -1.134 2.564 -0.360
Zn -2.669 -0.237 -0.341
Zn -0.925 0.465 -4.066
Rh 0.000 0.000 0.000
```

Calculated values
DFT total energy	-36.6	eV/cell
energy with MP2020 corrections	-39.409	eV/cell
excess energy over the best structure of this formula in the dataset	0.00	eV/f.u.
space group	No. 2

***

# 7
The following is a GGA-PBE calculation of a geometry-optimized Li19Mn5N9 structure, from the Materials Project database.

Structure (extended XYZ):
```
33
Lattice="3.199 6.730 0.000 -3.199 6.730 0.000 0.000 6.429 9.396" Properties=species:S:1:pos:R:3 pbc="T T T"
Li 0.002 10.577 8.898
Li 0.837 2.271 0.701
Li -2.316 11.155 3.926
Li -1.168 8.105 8.252
Li 0.837 17.617 8.695
Li -0.836 11.060 6.258
Li -0.053 8.417 5.720
Li 1.409 9.944 4.698
Li 0.829 6.552 7.015
Li 1.521 7.854 1.613
Li 0.002 9.311 0.498
Li 0.026 13.591 6.832
Li -0.053 11.471 3.676
Li -1.168 11.783 1.144
Li -0.836 8.828 3.138
Li 0.026 6.297 2.564
Li 1.521 12.034 7.783
Li 0.829 13.336 2.381
Li -2.316 8.733 5.470
N 2.034 13.675 6.620
N 2.034 6.213 2.776
N -1.168 2.816 0.513
N -0.872 7.772 1.499
N -0.872 12.116 7.897
N -1.168 17.072 8.883
N 2.022 11.624 3.544
N 2.022 8.264 5.852
N -0.859 9.944 4.698
Mn -1.181 16.010 7.423
Mn -1.175 5.978 5.088
Mn -0.897 6.730 0.000
Mn -1.181 3.878 1.973
Mn -1.175 13.910 4.308
```

Calculated values
DFT total energy	-168.2	eV/cell
energy with MP2020 corrections	-171.405	eV/cell
space group	No. 5

***

> Look up the DFT total energy of the third one.

-29.4 eV/cell